[1]
An optimized crystal structure of Mg5Rh2, computed with PBE.

The structure belongs to space group P6_3/mmc (No. 194); the cell edges are 8.5891, 8.5891 and 8.1293 Å and the angles 90.00°, 90.00° and 120.00°. Symmetry generates all atoms from Mg at (0.0000, 0.0000, 0.0000), Mg at (0.0801, 0.5401, 0.2500), Mg at (0.1918, 0.3836, 0.5628), Rh at (0.1216, 0.2432, 0.2500) and Rh at (0.3333, 0.6667, 0.7500).


[2]
An optimized crystal structure of Tb4MgRh, computed with PBE.

The structure belongs to space group F-43m (No. 216); the cell edges are 13.768, 13.768 and 13.768 Å and the angles 90.00°, 90.00° and 90.00°. Symmetry generates all atoms from Tb at (0.000, 0.000, 0.185), Tb at (0.063, 0.250, 0.750), Tb at (0.098, 0.098, 0.402), Mg at (0.170, 0.170, 0.170) and Rh at (0.108, 0.108, 0.608).


[3]
An optimized crystal structure of ThMgRh2, computed with PBE.

The structure belongs to space group Fm-3m (No. 225); the cell edges are 6.784, 6.784 and 6.784 Å and the angles 90.00°, 90.00° and 90.00°. Symmetry generates all atoms from Th at (0.000, 0.000, 0.000), Mg at (0.000, 0.000, 0.500) and Rh at (0.250, 0.250, 0.250).


[4]
An optimized crystal structure of TmMgRh2, computed with PBE.

The structure belongs to space group Fm-3m (No. 225); the cell edges are 6.520, 6.520 and 6.520 Å and the angles 90.00°, 90.00° and 90.00°. Symmetry generates all atoms from Tm at (0.000, 0.000, 0.000), Mg at (0.000, 0.000, 0.500) and Rh at (0.250, 0.250, 0.250).


[5]
An optimized crystal structure of MgZnRh2, computed with PBE.

The structure belongs to space group Fm-3m (No. 225); the cell edges are 6.147, 6.147 and 6.147 Å and the angles 90.00°, 90.00° and 90.00°. Symmetry generates all atoms from Mg at (0.000, 0.000, 0.000), Zn at (0.000, 0.000, 0.500) and Rh at (0.250, 0.250, 0.250).


[6]
An optimized crystal structure of MgZrRh2, computed with PBE.

The structure belongs to space group Fm-3m (No. 225); the cell edges are 6.431, 6.431 and 6.431 Å and the angles 90.00°, 90.00° and 90.00°. Symmetry generates all atoms from Mg at (0.000, 0.000, 0.000), Zr at (0.000, 0.000, 0.500) and Rh at (0.250, 0.250, 0.250).


Number 1: DFT total energy -0.2668 Ry/atom, E_form -383 meV/atom. Number 2: DFT total energy -0.3657 Ry/atom, E_form -392 meV/atom. Number 3: DFT total energy -0.4881 Ry/atom, E_form -706 meV/atom. Number 4: DFT total energy -0.4393 Ry/atom, E_form -776 meV/atom. Number 5: DFT total energy -0.3550 Ry/atom, E_form -432 meV/atom. Number 6: DFT total energy -0.5154 Ry/atom, E_form -794 meV/atom.